(1)
{"formula": "Na3Co5O10", "functional": "GGA+U", "state": "optimized geometry", "lattice_angstrom": [[2.8530, 1.6496, -5.5614], [5.7317, 3.2637, 5.5646], [5.7655, -4.9863, 0.0196]], "species": ["Co", "Co", "Co", "Co", "Co", "Co", "Co", "Co", "Co", "Co", "Na", "Na", "Na", "Na", "Na", "Na", "O", "O", "O", "O", "O", "O", "O", "O", "O", "O", "O", "O", "O", "O", "O", "O", "O", "O", "O", "O"], "fractional_positions": [[0.1089, 0.0995, 0.5931], [0.2960, 0.3065, 0.8029], [0.6039, 0.6005, 0.6004], [0.5040, 0.4984, 0.9995], [0.7906, 0.8019, 0.8001], [0.3948, 0.4030, 0.4005], [0.0007, 0.9993, 0.0016], [0.1973, 0.2011, 0.1975], [0.6951, 0.7011, 0.2013], [0.8949, 0.9000, 0.4002], [0.1360, 0.6316, 0.7995], [0.2349, 0.7327, 0.4027], [0.0393, 0.5324, 0.1930], [0.6369, 0.1303, 0.7998], [0.7355, 0.2294, 0.3990], [0.5364, 0.0343, 0.1996], [0.3959, 0.2177, 0.6052], [0.5187, 0.6899, 0.7977], [0.0147, 0.1884, 0.8128], [0.8037, 0.9885, 0.6021], [0.2861, 0.1113, 0.9978], [0.1874, 0.0026, 0.3885], [0.6903, 0.5153, 0.3916], [0.9124, 0.0914, 0.1961], [0.0724, 0.8996, 0.8126], [0.2165, 0.3966, 0.9982], [0.4845, 0.3046, 0.2015], [0.3132, 0.4983, 0.6053], [0.5784, 0.4058, 0.8006], [0.7871, 0.6129, 0.9999], [0.4130, 0.5939, 0.1992], [0.6098, 0.7919, 0.3974], [0.9776, 0.8056, 0.2021], [0.1040, 0.2939, 0.3941], [0.7107, 0.8943, 0.0036], [0.8864, 0.7112, 0.6031]], "polymorph_energy_mev_per_atom": 22.1, "density_g_cm3": 4.40, "spacegroup": "P1 (1)"}



(2)
{"formula": "NaCo8O16", "functional": "GGA+U", "state": "optimized geometry", "lattice_angstrom": [[6.7111, 0.0000, 0.0000], [1.6078, 6.9944, 0.0000], [0.6491, 2.4412, 11.9560]], "species": ["O", "O", "O", "O", "O", "O", "O", "O", "O", "O", "O", "O", "O", "O", "O", "O", "O", "O", "O", "O", "O", "O", "O", "O", "O", "O", "O", "O", "O", "O", "O", "O", "Co", "Co", "Co", "Co", "Co", "Co", "Co", "Co", "Co", "Co", "Co", "Co", "Co", "Co", "Co", "Co", "Na", "Na"], "fractional_positions": [[0.1519, 0.7339, 0.2888], [0.7324, 0.5790, 0.5384], [0.4835, 0.2133, 0.3184], [0.6342, 0.4879, 0.8692], [0.1530, 0.1461, 0.8295], [0.5165, 0.7867, 0.6816], [0.8812, 0.8927, 0.7213], [0.8481, 0.2661, 0.7112], [0.2676, 0.4210, 0.4616], [0.4368, 0.4770, 0.8911], [0.5614, 0.0163, 0.2979], [0.1188, 0.1073, 0.2787], [0.1889, 0.0594, 0.5222], [0.9803, 0.4990, 0.1449], [0.4386, 0.9837, 0.7021], [0.7554, 0.1291, 0.5017], [0.0960, 0.7799, 0.9805], [0.3037, 0.1009, 0.0698], [0.0197, 0.5010, 0.8551], [0.0564, 0.5931, 0.6202], [0.3658, 0.5121, 0.1308], [0.2446, 0.8709, 0.4983], [0.6517, 0.0993, 0.8779], [0.5632, 0.5230, 0.1089], [0.5624, 0.6235, 0.3248], [0.9040, 0.2201, 0.0195], [0.6963, 0.8991, 0.9302], [0.4376, 0.3765, 0.6752], [0.9436, 0.4069, 0.3798], [0.3483, 0.9007, 0.1221], [0.8470, 0.8539, 0.1705], [0.8111, 0.9406, 0.4778], [0.3501, 0.8699, 0.2959], [0.7031, 0.3228, 0.3596], [0.5000, 0.5000, 0.5000], [0.2080, 0.2669, 0.3673], [0.8735, 0.2813, 0.8641], [0.0000, 0.5000, 0.5000], [0.9401, 0.7486, 0.8782], [0.1265, 0.7187, 0.1359], [0.7145, 0.6456, 0.1836], [0.0599, 0.2514, 0.1218], [0.1103, 0.0963, 0.6811], [0.2969, 0.6772, 0.6404], [0.2855, 0.3544, 0.8164], [0.8897, 0.9037, 0.3189], [0.6499, 0.1301, 0.7041], [0.7920, 0.7331, 0.6327], [0.3829, 0.8520, 0.9091], [0.6171, 0.1480, 0.0909]], "density_g_cm3": 4.44, "spacegroup": "P-1 (2)"}



(3)
{"formula": "Na2CoO3", "functional": "GGA+U", "state": "optimized geometry", "lattice_angstrom": [[0.6843, 4.6619, 1.8523], [4.4185, -2.0923, 3.5131], [7.4977, 2.1399, -8.1553]], "species": ["O", "O", "O", "O", "O", "O", "O", "O", "O", "O", "O", "O", "Na", "Na", "Na", "Na", "Na", "Na", "Na", "Na", "Co", "Co", "Co", "Co"], "fractional_positions": [[0.4867, 0.2999, 0.8652], [0.4968, 0.7916, 0.3597], [0.3915, 0.3959, 0.5000], [0.9943, 0.7145, 0.8585], [0.9951, 0.2108, 0.3591], [0.9951, 0.2108, 0.6409], [0.8915, 0.6031, 0.5000], [0.4075, 0.8798, 0.0000], [0.4867, 0.2999, 0.1348], [0.9071, 0.1065, 0.0000], [0.9943, 0.7145, 0.1415], [0.4968, 0.7916, 0.6403], [0.5133, 0.1861, 0.6655], [0.0176, 0.3198, 0.1613], [0.5133, 0.1861, 0.3345], [0.0147, 0.8188, 0.6614], [0.5132, 0.6788, 0.8362], [0.0147, 0.8188, 0.3386], [0.5131, 0.6788, 0.1638], [0.0176, 0.3198, 0.8387], [0.5426, 0.6818, 0.5000], [0.5487, 0.1593, 0.0000], [0.0413, 0.3188, 0.5000], [0.0385, 0.8141, 0.0000]], "polymorph_energy_mev_per_atom": 55.3, "density_g_cm3": 2.95, "spacegroup": "Pm (6)"}



(4)
{"formula": "Na7Co3O8", "functional": "GGA+U", "state": "optimized geometry", "lattice_angstrom": [[5.5178, 0.0000, 0.0000], [0.1597, 8.2395, 0.0000], [0.1055, 0.0665, 10.4661]], "species": ["O", "O", "O", "O", "O", "O", "O", "O", "O", "O", "O", "O", "O", "O", "O", "O", "Na", "Na", "Na", "Na", "Na", "Na", "Na", "Na", "Na", "Na", "Na", "Na", "Na", "Na", "Co", "Co", "Co", "Co", "Co", "Co"], "fractional_positions": [[0.7661, 0.8193, 0.4860], [0.2055, 0.8442, 0.3077], [0.2045, 0.5718, 0.5402], [0.2605, 0.3967, 0.2773], [0.7943, 0.9308, 0.9608], [0.7955, 0.4282, 0.4598], [0.7385, 0.6843, 0.2090], [0.7945, 0.1558, 0.6923], [0.2615, 0.3157, 0.7910], [0.2057, 0.0692, 0.0392], [0.7602, 0.3088, 0.0261], [0.2432, 0.9409, 0.7553], [0.7568, 0.0591, 0.2447], [0.7395, 0.6033, 0.7227], [0.2398, 0.6912, 0.9739], [0.2339, 0.1807, 0.5140], [0.7161, 0.8859, 0.7236], [0.8586, 0.3785, 0.8256], [0.7432, 0.1175, 0.4730], [0.2778, 0.3500, 0.0203], [0.5200, 0.3674, 0.6207], [0.5239, 0.1227, 0.8737], [0.2863, 0.6150, 0.7593], [0.4800, 0.6326, 0.3793], [0.2568, 0.8825, 0.5270], [0.4761, 0.8773, 0.1263], [0.7137, 0.3850, 0.2407], [0.2839, 0.1141, 0.2764], [0.1414, 0.6215, 0.1744], [0.7222, 0.6500, 0.9797], [0.8638, 0.1086, 0.0787], [0.1362, 0.8914, 0.9213], [0.8637, 0.6216, 0.5625], [0.1182, 0.1609, 0.6964], [0.8818, 0.8391, 0.3036], [0.1363, 0.3784, 0.4375]], "density_g_cm3": 3.25, "spacegroup": "P-1 (2)"}



(5)
{"formula": "Na2CoO3", "functional": "GGA+U", "state": "optimized geometry", "lattice_angstrom": [[4.4891, 2.6003, 0.0000], [-4.4891, 2.6003, 0.0000], [0.0000, 1.8226, 5.3429]], "species": ["Na", "Na", "Na", "Na", "O", "O", "O", "O", "O", "O", "Co", "Co"], "fractional_positions": [[0.5000, 0.5000, 0.5000], [0.1577, 0.8423, 0.5000], [0.0000, 0.0000, 0.0000], [0.8423, 0.1577, 0.5000], [0.3128, 0.3128, 0.1988], [0.9369, 0.5541, 0.1981], [0.0631, 0.4459, 0.8019], [0.5541, 0.9369, 0.1981], [0.6872, 0.6872, 0.8012], [0.4459, 0.0631, 0.8019], [0.6707, 0.3293, 0.0000], [0.3293, 0.6707, 0.0000]], "polymorph_energy_mev_per_atom": 36.0, "density_g_cm3": 4.07, "spacegroup": "C2/m (12)"}



(6)
{"formula": "Na2CoO3", "functional": "GGA+U", "state": "optimized geometry", "lattice_angstrom": [[-1.4730, -3.8181, 9.0684], [-5.2194, -5.5836, 5.5943], [3.4608, -4.0341, 0.9859]], "species": ["Na", "Na", "Na", "Na", "Na", "Na", "Na", "Na", "Co", "Co", "Co", "Co", "O", "O", "O", "O", "O", "O", "O", "O", "O", "O", "O", "O"], "fractional_positions": [[0.7427, 0.7427, 0.2573], [0.8290, 0.8290, 0.6710], [0.4210, 0.4210, 0.5790], [0.5073, 0.5073, 0.9927], [0.5790, 0.5790, 0.4210], [0.9927, 0.9927, 0.5073], [0.2573, 0.2573, 0.7427], [0.6710, 0.6710, 0.8290], [0.3376, 0.3376, 0.1624], [0.1624, 0.1624, 0.3376], [0.9124, 0.9124, 0.0876], [0.0876, 0.0876, 0.9124], [0.3560, 0.9513, 0.5998], [0.9513, 0.3560, 0.0930], [0.8940, 0.2987, 0.6502], [0.1919, 0.8081, 0.8081], [0.0581, 0.4419, 0.4419], [0.6502, 0.1570, 0.8940], [0.5998, 0.0930, 0.3560], [0.4419, 0.0581, 0.0581], [0.8081, 0.1919, 0.1919], [0.2987, 0.8940, 0.1570], [0.1570, 0.6502, 0.2987], [0.0930, 0.5998, 0.9513]], "polymorph_energy_mev_per_atom": 123.3, "density_g_cm3": 4.10, "spacegroup": "Fddd (70)"}



Energy
In order: -200.02; -273.12; -118.87; -174.25; -59.67; -117.24
Unit: eV per cell